DFT (PBE+U) results for P2WO8 after structural relaxation.

Cell: 5.2456 6.7250 16.9321 Å, 90.00 90.00 90.00°
Closest atoms and distances in Å follow each position.
Element x y z (fractional)
P: 0.7500 0.2096 0.8319  4 O 1.50-1.58
P: 0.7500 0.9053 0.4217  4 O 1.47-1.61
P: 0.7500 0.2904 0.3319  4 O 1.50-1.58
P: 0.7500 0.5947 0.9217  4 O 1.47-1.61
P: 0.2500 0.7904 0.1681  4 O 1.50-1.58
P: 0.2500 0.4053 0.0783  4 O 1.47-1.61
P: 0.2500 0.0947 0.5783  4 O 1.47-1.61
P: 0.2500 0.7096 0.6681  4 O 1.50-1.58
W: 0.2500 0.6224 0.3710  1 O 1.72
W: 0.7500 0.3776 0.6290  1 O 1.72
W: 0.7500 0.1224 0.1290  1 O 1.72
W: 0.2500 0.8776 0.8710  1 O 1.72
O: 0.7500 0.3216 0.7551  1 P 1.50
O: 0.2500 0.3645 0.9933  1 P 1.47
O: 0.5158 0.8260 0.3720  1 P 1.58
O: 0.2500 0.1355 0.4933  1 P 1.47
O: 0.0120 0.5788 0.6579  1 P 1.54
O: 0.7500 0.3602 0.9036  2 P 1.58-1.61
O: 0.9880 0.0788 0.8421  1 P 1.54
O: 0.2500 0.9248 0.9710  1 W 1.72
O: 0.2500 0.8216 0.7449  1 P 1.50
O: 0.4842 0.3260 0.1280  1 P 1.58
O: 0.2500 0.5752 0.4710  1 W 1.72
O: 0.2500 0.6784 0.2449  1 P 1.50
O: 0.0158 0.1740 0.6280  1 P 1.58
O: 0.7500 0.1398 0.4036  2 P 1.58-1.61
O: 0.7500 0.4248 0.5290  1 W 1.72
O: 0.4880 0.5788 0.6579  1 P 1.54
O: 0.9842 0.6740 0.8720  1 P 1.58
O: 0.9842 0.8260 0.3720  1 P 1.58
O: 0.2500 0.6398 0.0964  2 P 1.58-1.61
O: 0.4842 0.1740 0.6280  1 P 1.58
O: 0.5120 0.0788 0.8421  1 P 1.54
O: 0.5120 0.4212 0.3421  1 P 1.54
O: 0.2500 0.8602 0.5964  2 P 1.58-1.61
O: 0.7500 0.6355 0.0067  1 P 1.47
O: 0.7500 0.0752 0.0290  1 W 1.72
O: 0.9880 0.4212 0.3421  1 P 1.54
O: 0.4880 0.9212 0.1579  1 P 1.54
O: 0.7500 0.1784 0.2551  1 P 1.50
O: 0.7500 0.8645 0.5067  1 P 1.47
O: 0.5158 0.6740 0.8720  1 P 1.58
O: 0.0158 0.3260 0.1280  1 P 1.58
O: 0.0120 0.9212 0.1579  1 P 1.54

Output
As for the density: 4.2 g/cm3. The value obtained for the magnetization is 0.00 μB per atom. The calculation puts the total energy at -7.267 eV per atom. Its corrected total energy (MP2020 scheme) is -8.17 eV/atom. The volume is 13.58 A^3/atom.

=====

DFT (PBE+U) results for Cs2CoP4O12 after structural relaxation.

Cell: 12.3212 8.5815 13.0179 Å, 69.03 90.00 90.00°
Closest atoms and distances in Å follow each position.
Element x y z (fractional)
Cs: 0.5589 0.7478 0.9778  7 O 3.07-3.37
Cs: 0.8922 0.5893 0.1699  7 O 3.19-3.55
Cs: 0.9411 0.7478 0.4778  7 O 3.07-3.37
Cs: 0.0589 0.2522 0.5222  7 O 3.07-3.37
Cs: 0.6078 0.5893 0.6699  7 O 3.19-3.55
Cs: 0.4411 0.2522 0.0222  7 O 3.07-3.37
Cs: 0.3922 0.4107 0.3301  7 O 3.19-3.55
Cs: 0.1078 0.4107 0.8301  7 O 3.19-3.55
Co: 0.2669 0.9596 0.3121  6 O 2.10-2.15
Co: 0.7331 0.0404 0.6879  6 O 2.10-2.15
Co: 0.2331 0.9596 0.8121  6 O 2.10-2.15
Co: 0.7669 0.0404 0.1879  6 O 2.10-2.15
P: 0.1440 0.3218 0.1927  4 O 1.49-1.64
P: 0.9577 0.9761 0.8158  4 O 1.50-1.63
P: 0.7251 0.0728 0.4276  4 O 1.51-1.62
P: 0.0423 0.0239 0.1842  4 O 1.50-1.63
P: 0.8560 0.6782 0.8073  4 O 1.49-1.64
P: 0.6440 0.6782 0.3073  4 O 1.49-1.64
P: 0.7749 0.0728 0.9276  4 O 1.51-1.62
P: 0.7330 0.3755 0.4724  4 O 1.50-1.64
P: 0.5423 0.9761 0.3158  4 O 1.50-1.63
P: 0.4577 0.0239 0.6842  4 O 1.50-1.63
P: 0.2749 0.9272 0.5724  4 O 1.51-1.62
P: 0.2251 0.9272 0.0724  4 O 1.51-1.62
P: 0.2330 0.6245 0.0276  4 O 1.50-1.64
P: 0.3560 0.3218 0.6927  4 O 1.49-1.64
P: 0.7670 0.3755 0.9724  4 O 1.50-1.64
P: 0.2670 0.6245 0.5276  4 O 1.50-1.64
O: 0.3862 0.0242 0.5788  2 P 1.62-1.63
O: 0.8218 0.2559 0.9125  2 P 1.62-1.64
O: 0.7457 0.7830 0.2896  1 P 1.51
O: 0.3218 0.7441 0.5875  2 P 1.62-1.64
O: 0.1000 0.9239 0.2895  1 P 1.51
O: 0.6108 0.6033 0.2248  1 P 1.49
O: 0.0715 0.0254 0.8310  1 P 1.50
O: 0.3892 0.3967 0.7752  1 P 1.49
O: 0.9000 0.0761 0.7105  1 P 1.51
O: 0.6138 0.9758 0.4212  2 P 1.62-1.63
O: 0.7707 0.9908 0.5420  1 P 1.51
O: 0.0419 0.2200 0.1670  2 P 1.62-1.63
O: 0.3003 0.9166 0.1660  1 P 1.51
O: 0.2707 0.0092 0.9580  1 P 1.51
O: 0.3507 0.4673 0.5697  2 P 1.63-1.64
O: 0.1493 0.4673 0.0697  2 P 1.63-1.64
O: 0.9581 0.7800 0.8330  2 P 1.62-1.63
O: 0.2293 0.0092 0.4580  1 P 1.51
O: 0.6000 0.0761 0.2105  1 P 1.51
O: 0.6555 0.4290 0.9279  1 P 1.50
O: 0.4000 0.9239 0.7895  1 P 1.51
O: 0.1138 0.0242 0.0788  2 P 1.62-1.63
O: 0.8862 0.9758 0.9212  2 P 1.62-1.63
O: 0.1108 0.3967 0.2752  1 P 1.49
O: 0.2860 0.7028 0.4053  1 P 1.51
O: 0.4285 0.0254 0.3310  1 P 1.50
O: 0.1782 0.7441 0.0875  2 P 1.62-1.64
O: 0.2457 0.2170 0.2104  1 P 1.51
O: 0.6782 0.2559 0.4125  2 P 1.62-1.64
O: 0.8892 0.6033 0.7248  1 P 1.49
O: 0.5419 0.7800 0.3330  2 P 1.62-1.63
O: 0.7140 0.2972 0.5947  1 P 1.51
O: 0.2543 0.2170 0.7104  1 P 1.51
O: 0.9285 0.9746 0.1690  1 P 1.50
O: 0.1997 0.9166 0.6660  1 P 1.51
O: 0.6997 0.0834 0.8340  1 P 1.51
O: 0.5715 0.9746 0.6690  1 P 1.50
O: 0.3445 0.5710 0.0721  1 P 1.50
O: 0.7543 0.7830 0.7896  1 P 1.51
O: 0.8507 0.5327 0.9303  2 P 1.63-1.64
O: 0.4581 0.2200 0.6670  2 P 1.62-1.63
O: 0.7860 0.2972 0.0947  1 P 1.51
O: 0.8003 0.0834 0.3340  1 P 1.51
O: 0.6493 0.5327 0.4303  2 P 1.63-1.64
O: 0.8445 0.4290 0.4279  1 P 1.50
O: 0.7293 0.9908 0.0420  1 P 1.51
O: 0.2140 0.7028 0.9053  1 P 1.51
O: 0.1555 0.5710 0.5721  1 P 1.50

Output
As for the density: 3.3 g/cm3. The value obtained for the magnetization is 0.05 μB per atom. The calculation puts the total energy at -6.725 eV per atom. Its corrected total energy (MP2020 scheme) is -7.24 eV/atom. The volume is 16.91 A^3/atom.

=====

DFT (PBE+U) results for CoAgC4O4 after structural relaxation.

Cell: 10.7865 10.7865 6.4042 Å, 86.80 86.80 112.53°
Closest atoms and distances in Å follow each position.
Element x y z (fractional)
Co: 0.2969 0.7031 0.5000  4 C 1.77-1.78
Co: 0.2290 0.2290 0.2815  4 C 1.78
Co: 0.7031 0.2969 0.5000  4 C 1.77-1.78
Co: 0.7710 0.7710 0.7185  4 C 1.78
Ag: 0.6960 0.5274 0.5945  2 Co 2.62, 4 C 2.73-2.82
Ag: 0.4726 0.3040 0.4055  2 Co 2.62, 4 C 2.73-2.82
Ag: 0.3040 0.4726 0.4055  2 Co 2.62, 4 C 2.73-2.82
Ag: 0.5274 0.6960 0.5945  2 Co 2.62, 4 C 2.73-2.82
C: 0.1987 0.1987 0.5598  1 O 1.17
C: 0.5983 0.2524 0.7397  1 O 1.16
C: 0.6613 0.6613 0.9278  1 O 1.17
C: 0.7476 0.4017 0.2603  1 O 1.16
C: 0.3387 0.3387 0.0722  1 O 1.17
C: 0.9277 0.7702 0.7894  1 O 1.16
C: 0.1369 0.6630 0.4013  1 O 1.16
C: 0.6630 0.1369 0.4013  1 O 1.16
C: 0.7702 0.9277 0.7894  1 O 1.16
C: 0.2524 0.5983 0.7397  1 O 1.16
C: 0.3370 0.8631 0.5987  1 O 1.16
C: 0.4017 0.7476 0.2603  1 O 1.16
C: 0.0723 0.2298 0.2106  1 O 1.16
C: 0.2298 0.0723 0.2106  1 O 1.16
C: 0.8631 0.3370 0.5987  1 O 1.16
C: 0.8013 0.8013 0.4402  1 O 1.17
O: 0.2116 0.5399 0.9037  1 C 1.16
O: 0.3965 0.3965 0.9140  1 C 1.17
O: 0.0343 0.6425 0.3334  1 C 1.16
O: 0.2280 0.9705 0.1592  1 C 1.16
O: 0.6425 0.0343 0.3334  1 C 1.16
O: 0.8346 0.8346 0.2629  1 C 1.17
O: 0.1654 0.1654 0.7371  1 C 1.17
O: 0.7884 0.4601 0.0963  1 C 1.16
O: 0.9705 0.2280 0.1592  1 C 1.16
O: 0.7720 0.0295 0.8408  1 C 1.16
O: 0.6035 0.6035 0.0860  1 C 1.17
O: 0.3575 0.9657 0.6666  1 C 1.16
O: 0.5399 0.2116 0.9037  1 C 1.16
O: 0.0295 0.7720 0.8408  1 C 1.16
O: 0.9657 0.3575 0.6666  1 C 1.16
O: 0.4601 0.7884 0.0963  1 C 1.16

Output
As for the density: 2.7 g/cm3. The value obtained for the magnetization is 0.00 μB per atom. The calculation puts the total energy at -6.944 eV per atom. Its corrected total energy (MP2020 scheme) is -7.38 eV/atom. The volume is 17.12 A^3/atom.

=====

DFT (PBE+U) results for Fe2CoAs2O14 after structural relaxation.

Cell: 9.6912 5.5969 9.6615 Å, 83.75 90.00 90.00°
Closest atoms and distances in Å follow each position.
Element x y z (fractional)
Fe: 0.6454 0.1530 0.4502  4 O 1.83-2.00
Fe: 0.1454 0.3470 0.5498  4 O 1.83-2.00
Fe: 0.3546 0.8470 0.5498  4 O 1.83-2.00
Fe: 0.8546 0.6530 0.4502  4 O 1.83-2.00
Co: 0.5000 0.5000 0.0000  6 O 1.87-1.91
Co: 0.0000 0.0000 0.0000  6 O 1.87-1.91
As: 0.9309 0.1631 0.2914  4 O 1.72-1.75
As: 0.4309 0.3369 0.7086  4 O 1.72-1.75
As: 0.0691 0.8369 0.7086  4 O 1.72-1.75
As: 0.5691 0.6631 0.2914  4 O 1.72-1.75
O: 0.9931 0.3874 0.3868  1 As 1.74
O: 0.4931 0.1126 0.6132  1 As 1.74
O: 0.0069 0.6126 0.6132  1 As 1.74
O: 0.5069 0.8874 0.3868  1 As 1.74
O: 0.9851 0.8773 0.3502  1 As 1.72
O: 0.4851 0.6227 0.6498  1 As 1.72
O: 0.0149 0.1227 0.6498  1 As 1.72
O: 0.5149 0.3773 0.3502  1 As 1.72
O: 0.0044 0.2288 0.1267  1 As 1.75, 1 Co 1.87
O: 0.5044 0.2712 0.8733  1 As 1.75, 1 Co 1.87
O: 0.9956 0.7712 0.8733  1 As 1.75, 1 Co 1.87
O: 0.4956 0.7288 0.1267  1 As 1.75, 1 Co 1.87
O: 0.7549 0.1859 0.2741  1 As 1.72
O: 0.2549 0.3141 0.7259  1 As 1.72
O: 0.2451 0.8141 0.7259  1 As 1.72
O: 0.7451 0.6859 0.2741  1 As 1.72
O: 0.7371 0.4198 0.5270  2 Fe 1.83-1.95
O: 0.2371 0.0802 0.4730  2 Fe 1.83-1.95
O: 0.2629 0.5802 0.4730  2 Fe 1.83-1.95
O: 0.7629 0.9198 0.5270  2 Fe 1.83-1.95
O: 0.3533 0.3351 0.1011  1 O 1.30
O: 0.8533 0.1649 0.8989  1 O 1.30
O: 0.6467 0.6649 0.8989  1 O 1.30
O: 0.1467 0.8351 0.1011  1 O 1.30
O: 0.6971 0.5136 0.9973  1 O 1.30
O: 0.1971 0.9864 0.0027  1 O 1.30
O: 0.3029 0.4864 0.0027  1 O 1.30
O: 0.8029 0.0136 0.9973  1 O 1.30

Output
As for the density: 3.5 g/cm3. The value obtained for the magnetization is 0.47 μB per atom. The calculation puts the total energy at -5.702 eV per atom. Its corrected total energy (MP2020 scheme) is -6.14 eV/atom. The volume is 13.71 A^3/atom.